Material: LaMg3
Method: DFT, GGA-PBE
State: optimized geometry

Cell: 6.9371 6.9371 5.2670 Å, 90.00 90.00 120.00°
Space group P6_3/mmc (No. 194)
Asymmetric unit:
La: 0.3333 0.6667 0.2500 x2
Mg: 0.1611 0.3223 0.7500 x6

Results
E_form in meV per atom: -92